Entry from Materials Project: crystalline SmSiPd at its relaxed geometry (meta-GGA r2SCAN).

Cell: 4.3747 7.5050 21.4918 Å, 90.00 90.00 90.00°
Sites, in units of the cell vectors:
Pd1 0.2500 0.0793 0.5940
Pd2 0.2500 0.0824 0.7370
Pd3 0.7500 0.9177 0.0632
Pd4 0.2500 0.0823 0.9368
Pd5 0.7500 0.9176 0.2630
Pd6 0.7500 0.5824 0.7630
Pd7 0.7500 0.5793 0.9060
Pd8 0.2500 0.4176 0.2370
Pd9 0.2500 0.4207 0.0940
Pd10 0.2500 0.4177 0.4368
Pd11 0.7500 0.5823 0.5632
Pd12 0.7500 0.9207 0.4060
Si1 0.2500 0.4142 0.7722
Si2 0.2500 0.4136 0.8943
Si3 0.7500 0.5864 0.1057
Si4 0.7500 0.9081 0.9287
Si5 0.7500 0.5919 0.4287
Si6 0.7500 0.9142 0.7278
Si7 0.2500 0.4081 0.5713
Si8 0.2500 0.0919 0.0713
Si9 0.7500 0.9136 0.6057
Si10 0.2500 0.0858 0.2722
Si11 0.2500 0.0864 0.3943
Si12 0.7500 0.5858 0.2278
Sm1 0.2500 0.7943 0.8327
Sm2 0.2500 0.7057 0.3327
Sm3 0.2500 0.7050 0.6661
Sm4 0.7500 0.2943 0.6673
Sm5 0.7500 0.2057 0.1673
Sm6 0.2500 0.7950 0.1661
Sm7 0.2500 0.7121 0.0017
Sm8 0.2500 0.7879 0.5017
Sm9 0.7500 0.2950 0.3339
Sm10 0.7500 0.2121 0.4983
Sm11 0.7500 0.2050 0.8339
Sm12 0.7500 0.2879 0.9983

SG: Pnma (62)
Crystal system: orthorhombic
ΔH_f (0 K): -1012.8 meV/atom